No. 1
# Nb2O2F3

A relaxed structure of Nb2O2F3 (PBE, the Materials Project).

Calculated values
**Symmetry**: C2/c (15)
**E (MP2020)**: -114.516 eV for the cell shown

POSCAR file:
```
Nb2O2F3
1.0
-0.193 -2.088 4.816
-5.489 1.807 0.563
0.214 -5.010 -5.028
Nb O F
4 4 6
Direct
0.916 0.313 0.320 Nb
0.084 0.687 0.680 Nb
0.404 0.813 0.320 Nb
0.596 0.187 0.680 Nb
0.756 0.860 0.597 O
0.159 0.640 0.403 O
0.841 0.360 0.597 O
0.244 0.140 0.403 O
0.654 0.972 0.208 F
0.554 0.472 0.208 F
0.346 0.028 0.792 F
0.109 0.750 0.000 F
0.446 0.528 0.792 F
0.891 0.250 0.000 F
```

=====

No. 2
# Nb3O7F

A relaxed structure of Nb3O7F (PBE, the Materials Project).

Calculated values
**Symmetry**: Cmmm (65)
**E (MP2020)**: -100.460 eV for the cell shown
**Excess energy over the best structure of this formula in the dataset**: 0.020 eV/atom
**Magnetization**: 0.00 μB/f.u.

POSCAR file:
```
Nb3O7F
1.0
-1.795 -2.160 5.691
0.417 -4.179 -4.758
3.740 -0.678 0.922
O Nb F
7 3 1
Direct
0.338 0.046 0.000 O
0.662 0.954 0.000 O
0.046 0.338 0.000 O
0.689 0.311 0.500 O
0.954 0.662 0.000 O
0.311 0.689 0.500 O
0.000 0.000 0.500 O
0.000 0.000 0.000 Nb
0.699 0.301 0.000 Nb
0.301 0.699 0.000 Nb
0.500 0.500 0.000 F
```

=====

No. 3
# Nb3O7F

A relaxed structure of Nb3O7F (PBE, the Materials Project).

Calculated values
**Symmetry**: Cmmm (65)
**E (MP2020)**: -100.072 eV for the cell shown
**Excess energy over the best structure of this formula in the dataset**: 0.055 eV/atom
**Magnetization**: 0.00 μB/f.u.

POSCAR file:
```
Nb3O7F
1.0
1.951 -10.541 0.000
1.951 10.541 0.000
0.000 0.000 3.989
O Nb F
7 3 1
Direct
0.815 0.185 0.500 O
0.907 0.093 0.000 O
0.500 0.500 0.000 O
0.291 0.709 0.000 O
0.185 0.815 0.500 O
0.093 0.907 0.000 O
0.709 0.291 0.000 O
0.815 0.185 0.000 Nb
0.000 0.000 0.000 Nb
0.185 0.815 0.000 Nb
0.000 0.000 0.500 F
```

=====

No. 4
# NbOF2

A relaxed structure of NbOF2 (PBE, the Materials Project).

Calculated values
**Symmetry**: Immm (71)
**E (MP2020)**: -30.822 eV for the cell shown
**Magnetization**: 1.00 μB/f.u.

POSCAR file:
```
NbOF2
1.0
-1.705 1.944 4.749
1.705 -1.944 4.749
1.705 1.944 -4.749
Nb F O
1 2 1
Direct
0.000 0.000 0.000 Nb
0.866 0.366 0.500 F
0.134 0.634 0.500 F
0.500 0.000 0.500 O
```

=====

No. 5
# Nb20O39F21

A relaxed structure of Nb20O39F21 (PBE, the Materials Project).

Calculated values
**Symmetry**: Pmmm (47)
**E (MP2020)**: -682.603 eV for the cell shown
**Magnetization**: 0.15 μB/f.u.

POSCAR file:
```
Nb20O39F21
1.0
3.886 0.000 0.000
0.000 4.133 0.000
0.000 0.000 80.309
F Nb O
21 20 39
Direct
0.000 0.000 0.975 F
0.000 0.500 0.700 F
0.000 0.500 0.400 F
0.000 0.500 0.800 F
0.000 0.500 0.200 F
0.000 0.500 0.650 F
0.000 0.500 0.950 F
0.000 0.500 0.250 F
0.000 0.500 0.550 F
0.000 0.500 0.300 F
0.000 0.500 0.100 F
0.000 0.500 0.050 F
0.000 0.500 0.900 F
0.000 0.500 0.500 F
0.000 0.500 0.600 F
0.000 0.500 0.350 F
0.000 0.000 0.025 F
0.000 0.500 0.150 F
0.000 0.500 0.850 F
0.000 0.500 0.750 F
0.000 0.500 0.450 F
0.000 0.000 0.402 Nb
0.000 0.000 0.202 Nb
0.000 0.000 0.451 Nb
0.000 0.000 0.798 Nb
0.000 0.000 0.898 Nb
0.000 0.000 0.252 Nb
0.000 0.000 0.947 Nb
0.000 0.000 0.848 Nb
0.000 0.000 0.500 Nb
0.000 0.000 0.302 Nb
0.000 0.000 0.152 Nb
0.000 0.000 0.053 Nb
0.000 0.000 0.549 Nb
0.000 0.000 0.352 Nb
0.000 0.000 0.748 Nb
0.000 0.000 0.102 Nb
0.000 0.000 0.698 Nb
0.000 0.000 0.000 Nb
0.000 0.000 0.648 Nb
0.000 0.000 0.598 Nb
0.500 0.000 0.299 O
0.500 0.000 0.751 O
0.000 0.000 0.325 O
0.000 0.500 0.000 O
0.000 0.000 0.075 O
0.500 0.000 0.601 O
0.500 0.000 0.450 O
0.500 0.000 0.249 O
0.500 0.000 0.500 O
0.500 0.000 0.701 O
0.500 0.000 0.049 O
0.500 0.000 0.951 O
0.000 0.000 0.775 O
0.000 0.000 0.425 O
0.500 0.000 0.000 O
0.000 0.000 0.725 O
0.000 0.000 0.525 O
0.500 0.000 0.851 O
0.000 0.000 0.225 O
0.000 0.000 0.175 O
0.000 0.000 0.275 O
0.000 0.000 0.675 O
0.500 0.000 0.349 O
0.500 0.000 0.901 O
0.000 0.000 0.925 O
0.500 0.000 0.550 O
0.000 0.000 0.825 O
0.500 0.000 0.651 O
0.500 0.000 0.199 O
0.500 0.000 0.399 O
0.000 0.000 0.625 O
0.000 0.000 0.375 O
0.000 0.000 0.125 O
0.000 0.000 0.475 O
0.000 0.000 0.875 O
0.500 0.000 0.099 O
0.000 0.000 0.575 O
0.500 0.000 0.149 O
0.500 0.000 0.801 O
```

=====

No. 6
# Nb3O2F5

A relaxed structure of Nb3O2F5 (PBE, the Materials Project).

Calculated values
**Symmetry**: Pnnm (58)
**E (MP2020)**: -314.430 eV for the cell shown
**Magnetization**: 0.00 μB/f.u.

POSCAR file:
```
Nb3O2F5
1.0
-5.027 -2.338 -2.469
4.551 -5.149 -4.389
-0.664 -9.024 9.899
O F Nb
8 20 12
Direct
0.244 0.989 0.231 O
0.256 0.511 0.731 O
0.744 0.511 0.731 O
0.756 0.989 0.231 O
0.244 0.011 0.769 O
0.744 0.489 0.269 O
0.756 0.011 0.769 O
0.256 0.489 0.269 O
0.000 0.259 0.849 F
0.000 0.769 0.357 F
0.500 0.241 0.349 F
0.208 0.000 0.000 F
0.500 0.204 0.613 F
0.500 0.712 0.143 F
0.500 0.759 0.651 F
0.000 0.212 0.357 F
0.000 0.788 0.643 F
0.792 0.000 0.000 F
0.000 0.741 0.151 F
0.500 0.269 0.143 F
0.000 0.296 0.113 F
0.500 0.731 0.857 F
0.500 0.796 0.387 F
0.500 0.288 0.857 F
0.708 0.500 0.500 F
0.000 0.704 0.887 F
0.000 0.231 0.643 F
0.292 0.500 0.500 F
0.000 0.020 0.129 Nb
0.720 0.738 0.262 Nb
0.220 0.238 0.238 Nb
0.220 0.762 0.762 Nb
0.280 0.262 0.738 Nb
0.780 0.238 0.238 Nb
0.500 0.480 0.629 Nb
0.720 0.262 0.738 Nb
0.500 0.520 0.371 Nb
0.780 0.762 0.762 Nb
0.000 0.980 0.871 Nb
0.280 0.738 0.262 Nb
```

=====

No. 7
# Nb6O15F

A relaxed structure of Nb6O15F (PBE, the Materials Project).

Calculated values
**Symmetry**: Pmma (51)
**E (MP2020)**: -402.030 eV for the cell shown
**Magnetization**: 1.00 μB/f.u.

POSCAR file:
```
Nb6O15F
1.0
-0.897 2.527 -2.929
-6.995 3.220 4.921
10.312 11.744 6.974
O Nb F
30 12 2
Direct
0.000 0.337 0.019 O
0.500 0.953 0.750 O
0.000 0.871 0.323 O
0.500 0.406 0.130 O
0.000 0.337 0.481 O
0.000 0.804 0.834 O
0.500 0.181 0.561 O
0.000 0.000 0.000 O
0.000 0.535 0.750 O
0.000 0.196 0.166 O
0.000 0.000 0.500 O
0.000 0.129 0.677 O
0.500 0.406 0.370 O
0.000 0.196 0.334 O
0.500 0.181 0.939 O
0.000 0.663 0.519 O
0.000 0.379 0.635 O
0.000 0.804 0.666 O
0.500 0.819 0.061 O
0.500 0.594 0.870 O
0.000 0.871 0.177 O
0.000 0.465 0.250 O
0.000 0.379 0.865 O
0.000 0.621 0.365 O
0.500 0.819 0.439 O
0.000 0.663 0.981 O
0.500 0.594 0.630 O
0.000 0.621 0.135 O
0.000 0.129 0.823 O
0.500 0.047 0.250 O
0.000 0.817 0.060 Nb
0.000 0.941 0.750 Nb
0.000 0.183 0.560 Nb
0.000 0.817 0.440 Nb
0.000 0.059 0.250 Nb
0.000 0.183 0.940 Nb
0.000 0.316 0.750 Nb
0.000 0.397 0.127 Nb
0.000 0.603 0.873 Nb
0.000 0.603 0.627 Nb
0.000 0.397 0.373 Nb
0.000 0.684 0.250 Nb
0.500 0.695 0.250 F
0.500 0.305 0.750 F
```

=====

No. 8
# Nb5OF14

A relaxed structure of Nb5OF14 (PBE, the Materials Project).

Calculated values
**Symmetry**: P-1 (2)
**E (MP2020)**: -142.035 eV for the cell shown
**Magnetization**: 2.81 μB/f.u.

POSCAR file:
```
Nb5OF14
1.0
-5.875 0.000 0.000
-0.074 -7.208 0.000
2.908 2.462 8.521
F Nb O
14 5 1
Direct
0.102 0.399 0.701 F
0.096 0.899 0.199 F
0.395 0.105 0.803 F
0.700 0.801 0.900 F
0.300 0.199 0.100 F
0.904 0.101 0.801 F
0.201 0.300 0.400 F
0.605 0.895 0.197 F
0.500 0.500 0.000 F
0.799 0.700 0.600 F
0.702 0.301 0.401 F
0.500 0.000 0.500 F
0.298 0.699 0.599 F
0.898 0.601 0.299 F
0.813 0.684 0.091 Nb
0.403 0.096 0.299 Nb
0.187 0.316 0.909 Nb
0.597 0.904 0.701 Nb
0.000 0.500 0.500 Nb
0.000 0.500 0.000 O
```

=====

No. 9
# Nb4Pb3O12F2

A relaxed structure of Nb4Pb3O12F2 (PBE, the Materials Project).

Calculated values
**Symmetry**: Amm2 (38)
**E (MP2020)**: -688.837 eV for the cell shown
**Magnetization**: 0.00 μB/f.u.

POSCAR file:
```
Nb4Pb3O12F2
1.0
9.127 -9.143 0.000
9.127 9.143 0.000
0.000 0.000 7.584
Pb F Nb O
12 8 16 48
Direct
0.294 0.937 0.000 Pb
0.214 0.439 0.500 Pb
0.438 0.200 0.500 Pb
0.712 0.059 0.000 Pb
0.009 0.991 0.738 Pb
0.501 0.499 0.240 Pb
0.561 0.786 0.500 Pb
0.941 0.288 0.000 Pb
0.800 0.562 0.500 Pb
0.063 0.706 0.000 Pb
0.009 0.991 0.262 Pb
0.501 0.499 0.760 Pb
0.909 0.091 0.000 F
0.026 0.392 0.500 F
0.608 0.974 0.500 F
0.091 0.909 0.000 F
0.582 0.592 0.500 F
0.115 0.531 0.000 F
0.469 0.885 0.000 F
0.408 0.418 0.500 F
0.697 0.303 0.250 Nb
0.456 0.228 0.000 Nb
0.049 0.737 0.500 Nb
0.301 0.699 0.251 Nb
0.802 0.801 0.751 Nb
0.802 0.801 0.249 Nb
0.263 0.951 0.500 Nb
0.697 0.303 0.750 Nb
0.199 0.198 0.751 Nb
0.301 0.699 0.749 Nb
0.199 0.198 0.249 Nb
0.746 0.053 0.500 Nb
0.557 0.748 0.000 Nb
0.947 0.254 0.500 Nb
0.252 0.443 0.000 Nb
0.772 0.544 0.000 Nb
0.948 0.801 0.304 O
0.254 0.746 0.000 O
0.328 0.672 0.500 O
0.642 0.800 0.191 O
0.603 0.607 0.000 O
0.800 0.645 0.810 O
0.294 0.553 0.809 O
0.294 0.553 0.191 O
0.967 0.620 0.500 O
0.890 0.469 0.000 O
0.700 0.144 0.311 O
0.200 0.358 0.809 O
0.053 0.209 0.686 O
0.393 0.397 0.000 O
0.791 0.947 0.314 O
0.856 0.300 0.689 O
0.143 0.701 0.692 O
0.856 0.300 0.311 O
0.531 0.110 0.000 O
0.199 0.052 0.304 O
0.447 0.706 0.809 O
0.169 0.175 0.000 O
0.791 0.947 0.686 O
0.825 0.831 0.000 O
0.200 0.358 0.191 O
0.101 0.899 0.500 O
0.551 0.298 0.810 O
0.299 0.857 0.308 O
0.800 0.645 0.190 O
0.889 0.111 0.500 O
0.199 0.052 0.696 O
0.299 0.857 0.692 O
0.053 0.209 0.314 O
0.702 0.449 0.190 O
0.447 0.706 0.191 O
0.355 0.200 0.190 O
0.702 0.449 0.810 O
0.744 0.256 0.000 O
0.246 0.246 0.500 O
0.355 0.200 0.810 O
0.948 0.801 0.696 O
0.642 0.800 0.809 O
0.551 0.298 0.190 O
0.380 0.033 0.500 O
0.143 0.701 0.308 O
0.700 0.144 0.689 O
0.754 0.754 0.500 O
0.671 0.329 0.500 O
```

=====

No. 10
# NbSeOF7

A relaxed structure of NbSeOF7 (PBE, the Materials Project).

Calculated values
**Symmetry**: Pnma (62)
**E (MP2020)**: -237.272 eV for the cell shown

POSCAR file:
```
NbSeOF7
1.0
7.325 0.000 0.000
0.000 8.114 0.000
0.000 0.000 11.522
Nb F Se O
4 28 4 4
Direct
0.300 0.250 0.850 Nb
0.200 0.250 0.350 Nb
0.700 0.750 0.150 Nb
0.800 0.750 0.650 Nb
0.384 0.250 0.237 F
0.689 0.512 0.137 F
0.999 0.750 0.757 F
0.861 0.750 0.018 F
0.311 0.488 0.863 F
0.700 0.093 0.405 F
0.189 0.012 0.363 F
0.311 0.012 0.863 F
0.616 0.750 0.763 F
0.501 0.750 0.257 F
0.200 0.907 0.095 F
0.300 0.907 0.595 F
0.811 0.512 0.637 F
0.200 0.593 0.095 F
0.116 0.250 0.737 F
0.884 0.750 0.263 F
0.001 0.250 0.243 F
0.361 0.250 0.482 F
0.689 0.988 0.137 F
0.700 0.407 0.405 F
0.800 0.407 0.905 F
0.811 0.988 0.637 F
0.139 0.250 0.982 F
0.300 0.593 0.595 F
0.800 0.093 0.905 F
0.499 0.250 0.743 F
0.189 0.488 0.363 F
0.639 0.750 0.518 F
0.735 0.250 0.002 Se
0.235 0.750 0.498 Se
0.265 0.750 0.998 Se
0.765 0.250 0.502 Se
0.512 0.250 0.983 O
0.488 0.750 0.017 O
0.988 0.250 0.483 O
0.012 0.750 0.517 O
```

=====

| no. | E_form (eV/atom) | electronic total energy (eV per atom) |
| --- | --- | --- |
| 1 | -3.059 | -7.79 |
| 2 | -3.055 | -8.65 |
| 3 | -3.020 | -8.62 |
| 4 | -2.986 | -7.30 |
| 5 | -3.093 | -8.08 |
| 6 | -2.883 | -7.49 |
| 7 | -2.922 | -8.65 |
| 8 | -2.989 | -6.74 |
| 9 | -2.736 | -7.76 |
| 10 | -2.737 | -5.54 |